# 1
The following is a DFT calculation (PBE-GGA) of crystalline Na2Hf4Si5Ge4S7O48 at its relaxed geometry.

symmetry	P1
formation energy	-2.510	eV/atom
size of the total moment	0.000	μB/f.u.
calculated volume	14.15	Å³/atom
total energy after the MP2020 corrections	-7.57	eV per atom

The structure in CIF format:
```
data_Na2Hf4Si5Ge4S7O48
_chemical_formula_sum 'Na6 Hf12 Si15 Ge12 S21 O144'
_space_group_name_H-M_alt 'P 1'
_space_group_IT_number 1
_cell_length_a 17.4622
_cell_length_b 8.7279
_cell_length_c 22.5403
_cell_angle_alpha 90.05
_cell_angle_beta 89.25
_cell_angle_gamma 120.09
loop_
_space_group_symop_operation_xyz
'x,y,z'
loop_
_atom_site_label
_atom_site_type_symbol
_atom_site_fract_x
_atom_site_fract_y
_atom_site_fract_z
_atom_site_occupancy
O1 O 0.9195 0.9957 0.4021 1
O2 O 0.6670 0.4859 0.7608 1
O3 O 0.0883 0.4729 0.2587 1
O4 O 0.9821 0.1359 0.5980 1
O5 O 0.5125 0.1752 0.9046 1
O6 O 0.2495 0.6429 0.5710 1
O7 O 0.4102 0.3023 0.2409 1
O8 O 0.9825 0.8045 0.8030 1
O9 O 0.6859 0.4879 0.3646 1
O10 O 0.3196 0.5051 0.6394 1
O11 O 0.0771 0.4689 0.9758 1
O12 O 0.3205 0.4873 0.9217 1
O13 O 0.7436 0.2944 0.7395 1
O14 O 0.0156 0.2150 0.1992 1
O15 O 0.5908 0.2023 0.4104 1
O16 O 0.6100 0.0441 0.5856 1
O17 O 0.2704 0.8438 0.7580 1
O18 O 0.2500 0.1417 0.9260 1
O19 O 0.0849 0.2033 0.4086 1
O20 O 0.7308 0.2990 0.0280 1
O21 O 0.3185 0.1236 0.1402 1
O22 O 0.5641 0.4898 0.5731 1
O23 O 0.6799 0.4820 0.0774 1
O24 O 0.4844 0.1728 0.5862 1
O25 O 0.7415 0.3497 0.1360 1
O26 O 0.7544 0.6247 0.8648 1
O27 O 0.2276 0.2906 0.7435 1
O28 O 0.8516 0.1777 0.0242 1
O29 O 0.2331 0.1663 0.5261 1
O30 O 0.2430 0.1857 0.2405 1
O31 O 0.7563 0.6336 0.5758 1
O32 O 0.5992 0.1604 0.0873 1
O33 O 0.7548 0.8711 0.3556 1
O34 O 0.7779 0.8430 0.4714 1
O35 O 0.4343 0.3571 0.6333 1
O36 O 0.9137 0.2686 0.5279 1
O37 O 0.2647 0.8451 0.4703 1
O38 O 0.1085 0.1799 0.0895 1
O39 O 0.8190 0.1341 0.1401 1
O40 O 0.3528 0.5338 0.5229 1
O41 O 0.4185 0.5190 0.7501 1
O42 O 0.0980 0.1756 0.8016 1
O43 O 0.4823 0.1600 0.3032 1
O44 O 0.9274 0.3259 0.2467 1
O45 O 0.1850 0.4920 0.3589 1
O46 O 0.6007 0.1598 0.8093 1
O47 O 0.5607 0.5016 0.8588 1
O48 O 0.0881 0.7048 0.7528 1
O49 O 0.8994 0.8204 0.1975 1
O50 O 0.4173 0.8476 0.9078 1
O51 O 0.0603 0.6156 0.3578 1
O52 O 0.0139 0.8423 0.6852 1
O53 O 0.8955 0.8042 0.9124 1
O54 O 0.7306 0.1653 0.2447 1
O55 O 0.8442 0.1567 0.7443 1
O56 O 0.2748 0.7044 0.9730 1
O57 O 0.4198 0.4928 0.1465 1
O58 O 0.9835 0.7956 0.0872 1
O59 O 0.2369 0.3022 0.0286 1
O60 O 0.6878 0.8896 0.8630 1
O61 O 0.0880 0.2039 0.6934 1
O62 O 0.7388 0.1744 0.5264 1
O63 O 0.1810 0.8807 0.5754 1
O64 O 0.3931 0.9794 0.4097 1
O65 O 0.9853 0.1844 0.3065 1
O66 O 0.7710 0.6934 0.2583 1
O67 O 0.2562 0.8761 0.0776 1
O68 O 0.0913 0.9803 0.9108 1
O69 O 0.8215 0.1539 0.4223 1
O70 O 0.4215 0.3446 0.9267 1
O71 O 0.5890 0.9786 0.9134 1
O72 O 0.5133 0.1840 0.1861 1
O73 O 0.9339 0.5135 0.1345 1
O74 O 0.8497 0.5359 0.2459 1
O75 O 0.4127 0.0385 0.8047 1
O76 O 0.3401 0.5288 0.2452 1
O77 O 0.3877 0.8153 0.1966 1
O78 O 0.5168 0.8270 0.6948 1
O79 O 0.8920 0.9671 0.6953 1
O80 O 0.7492 0.1405 0.6359 1
O81 O 0.5795 0.4539 0.9745 1
O82 O 0.9117 0.0332 0.8022 1
O83 O 0.9236 0.0379 0.0922 1
O84 O 0.4830 0.8069 0.8125 1
O85 O 0.4228 0.8178 0.5887 1
O86 O 0.4073 0.7886 0.3031 1
O87 O 0.2424 0.1353 0.6352 1
O88 O 0.9155 0.7974 0.5886 1
O89 O 0.6543 0.8471 0.2531 1
O90 O 0.9109 0.5191 0.7405 1
O91 O 0.7488 0.1476 0.9234 1
O92 O 0.8519 0.5350 0.5302 1
O93 O 0.5022 0.8216 0.4076 1
O94 O 0.0627 0.4817 0.5805 1
O95 O 0.5631 0.6435 0.0795 1
O96 O 0.6899 0.8874 0.5752 1
O97 O 0.5865 0.2111 0.6919 1
O98 O 0.0846 0.9648 0.1941 1
O99 O 0.9183 0.3662 0.9228 1
O100 O 0.7665 0.8359 0.7603 1
O101 O 0.6579 0.8548 0.9705 1
O102 O 0.0643 0.6414 0.0752 1
O103 O 0.8188 0.5110 0.6388 1
O104 O 0.2488 0.3591 0.1378 1
O105 O 0.3517 0.1663 0.0318 1
O106 O 0.3450 0.1576 0.7442 1
O107 O 0.9206 0.4924 0.4272 1
O108 O 0.2610 0.6908 0.2611 1
O109 O 0.2520 0.8769 0.3624 1
O110 O 0.2539 0.6384 0.8570 1
O111 O 0.1861 0.8846 0.8650 1
O112 O 0.7662 0.6801 0.9725 1
O113 O 0.4157 0.0321 0.0897 1
O114 O 0.4199 0.2965 0.5263 1
O115 O 0.5902 0.9767 0.1938 1
O116 O 0.0122 0.8424 0.4075 1
O117 O 0.1545 0.4611 0.4670 1
O118 O 0.3987 0.9790 0.6969 1
O119 O 0.0032 0.1818 0.9085 1
O120 O 0.2451 0.3525 0.4193 1
O121 O 0.1597 0.8341 0.2634 1
O122 O 0.0597 0.4979 0.8601 1
O123 O 0.1535 0.4600 0.7528 1
O124 O 0.6554 0.4579 0.4715 1
O125 O 0.8135 0.4862 0.9265 1
O126 O 0.9200 0.5400 0.0274 1
O127 O 0.5788 0.6869 0.4748 1
O128 O 0.0989 0.0445 0.3092 1
O129 O 0.4123 0.5537 0.0283 1
O130 O 0.1013 0.0409 0.5853 1
O131 O 0.5878 0.4710 0.2527 1
O132 O 0.0810 0.7003 0.4736 1
O133 O 0.4166 0.4659 0.4242 1
O134 O 0.3118 0.1334 0.4239 1
O135 O 0.7494 0.3581 0.4248 1
O136 O 0.1891 0.4940 0.0775 1
O137 O 0.5995 0.0218 0.3020 1
O138 O 0.9193 0.3460 0.6456 1
O139 O 0.1551 0.8528 0.9720 1
O140 O 0.5578 0.6184 0.3599 1
O141 O 0.9144 0.7951 0.3050 1
O142 O 0.7508 0.8540 0.0716 1
O143 O 0.4815 0.8254 0.0989 1
O144 O 0.5955 0.7104 0.7606 1
Na1 Na 0.4946 0.9957 0.9940 1
Na2 Na 0.3411 0.3470 0.8382 1
Na3 Na 0.8359 0.3341 0.3416 1
Na4 Na 0.9952 0.9947 0.4995 1
Na5 Na 0.3372 0.3309 0.3323 1
Na6 Na 0.8354 0.3435 0.8306 1
S1 S 0.1895 0.0564 0.5818 1
S2 S 0.1718 0.9659 0.9187 1
S3 S 0.6411 0.9991 0.2481 1
S4 S 0.8515 0.9962 0.7514 1
S5 S 0.1401 0.2812 0.7480 1
S6 S 0.3577 0.0015 0.7514 1
S7 S 0.6689 0.9607 0.9161 1
S8 S 0.8042 0.6481 0.9190 1
S9 S 0.6719 0.3785 0.4185 1
S10 S 0.6990 0.0659 0.5818 1
S11 S 0.3485 0.7046 0.2519 1
S12 S 0.3349 0.0531 0.0841 1
S13 S 0.1992 0.3355 0.0832 1
S14 S 0.3034 0.9561 0.4181 1
S15 S 0.4772 0.3306 0.5801 1
S16 S 0.6874 0.3228 0.0818 1
S17 S 0.0056 0.2973 0.2539 1
S18 S 0.8589 0.7152 0.2522 1
S19 S 0.1679 0.3798 0.4135 1
S20 S 0.9761 0.6207 0.0795 1
S21 S 0.8356 0.6154 0.5832 1
Si1 Si 0.5047 0.7210 0.7561 1
Si2 Si 0.9996 0.7163 0.7446 1
Si3 Si 0.9674 0.3089 0.5908 1
Si4 Si 0.0207 0.6657 0.4173 1
Si5 Si 0.8348 0.0448 0.0801 1
Si6 Si 0.5213 0.3660 0.9165 1
Si7 Si 0.1458 0.0044 0.2516 1
Si8 Si 0.0150 0.3749 0.9186 1
Si9 Si 0.8185 0.9632 0.4112 1
Si10 Si 0.3361 0.6289 0.5811 1
Si11 Si 0.6460 0.2807 0.7503 1
Si12 Si 0.4676 0.6232 0.0906 1
Si13 Si 0.3186 0.6750 0.9121 1
Si14 Si 0.5140 0.6524 0.4192 1
Si15 Si 0.4988 0.2820 0.2449 1
Hf1 Hf 0.8336 0.3254 0.1860 1
Hf2 Hf 0.0047 0.0039 0.1424 1
Hf3 Hf 0.6560 0.6583 0.0269 1
Hf4 Hf 0.6587 0.6590 0.3118 1
Hf5 Hf 0.4958 0.0013 0.3587 1
Hf6 Hf 0.5054 0.9950 0.6455 1
Hf7 Hf 0.9944 0.9878 0.8588 1
Hf8 Hf 0.1721 0.6601 0.0184 1
Hf9 Hf 0.1556 0.6531 0.5292 1
Hf10 Hf 0.1601 0.6591 0.8112 1
Hf11 Hf 0.3390 0.3548 0.6898 1
Hf12 Hf 0.6733 0.6859 0.5189 1
Ge1 Ge 0.6427 0.6182 0.8045 1
Ge2 Ge 0.4900 0.9911 0.1483 1
Ge3 Ge 0.5030 0.0018 0.8529 1
Ge4 Ge 0.9917 0.9951 0.6510 1
Ge5 Ge 0.8351 0.3174 0.9773 1
Ge6 Ge 0.1571 0.6767 0.3139 1
Ge7 Ge 0.3417 0.3537 0.4844 1
Ge8 Ge 0.3364 0.3194 0.1907 1
Ge9 Ge 0.8370 0.3511 0.6914 1
Ge10 Ge 0.3532 0.3864 0.9762 1
Ge11 Ge 0.0062 0.9943 0.3571 1
Ge12 Ge 0.8510 0.3173 0.4793 1
```


# 2
The following is a DFT calculation (PBE-GGA) of crystalline Cs2LiTlBr6 at its relaxed geometry.

symmetry	Fm-3m
formation energy	-1.564	eV/atom
size of the total moment	0.000	μB/f.u.
calculated volume	35.22	Å³/atom
total energy after the MP2020 corrections	-3.15	eV per atom

The structure in CIF format:
```
data_Cs2LiTlBr6
_chemical_formula_sum 'Cs2 Li1 Tl1 Br6'
_space_group_name_H-M_alt 'P 1'
_space_group_IT_number 1
_cell_length_a 7.9266
_cell_length_b 7.9266
_cell_length_c 7.9266
_cell_angle_alpha 60.00
_cell_angle_beta 60.00
_cell_angle_gamma 60.00
loop_
_space_group_symop_operation_xyz
'x,y,z'
loop_
_atom_site_label
_atom_site_type_symbol
_atom_site_fract_x
_atom_site_fract_y
_atom_site_fract_z
_atom_site_occupancy
Br1 Br 0.2502 0.7498 0.2502 1
Br2 Br 0.7498 0.2502 0.7498 1
Br3 Br 0.7498 0.7498 0.2502 1
Br4 Br 0.2502 0.7498 0.7498 1
Br5 Br 0.2502 0.2502 0.7498 1
Br6 Br 0.7498 0.2502 0.2502 1
Tl1 Tl 0.0000 0.0000 0.0000 1
Cs1 Cs 0.2500 0.2500 0.2500 1
Cs2 Cs 0.7500 0.7500 0.7500 1
Li1 Li 0.5000 0.5000 0.5000 1
```


Number 1 is which compound? Na2Hf4Si5Ge4S7O48


total energy after the MP2020 corrections of number 1 (Na2Hf4Si5Ge4S7O48)? -7.57 eV per atom


total energy after the MP2020 corrections of number 2 (Cs2LiTlBr6)? -3.15 eV per atom